Below is an optimized crystal structure of NbZn3Ga3, with properties calculated at the r²SCAN level.

Formation energy ... -0.1975 eV/atom
Space group ... No. 166

Cell: 5.595 5.595 5.595 Å, 57.78 57.78 57.78°
Positions (direct):
Nb (0.000, 0.000, 0.000)
Zn (0.000, 0.000, 0.500)
Zn (0.000, 0.500, 0.000)
Zn (0.500, 0.000, 0.000)
Ga (0.000, 0.500, 0.500)
Ga (0.500, 0.000, 0.500)
Ga (0.500, 0.500, 0.000)